YGa3Cu, relaxed, DFT PBE-GGA; uncorrected energy = -22.0 eV per cell; ΔH_f (0 K) = -45.0 kJ per mole of atoms
1.0
-2.0431 2.0431 5.3880
2.0431 -2.0431 5.3880
2.0431 2.0431 -5.3880
Ga Cu Y
3 1 1
Direct
0.3866 0.3866 0.0000
0.7500 0.2500 0.5000
0.6134 0.6134 0.0000
0.2500 0.7500 0.5000
0.0000 0.0000 0.0000